# meta-GGA r2SCAN KO, optimized geometry
data_KO
_chemical_formula_sum 'K6 O6'
_space_group_name_H-M_alt 'P 1'
_space_group_IT_number 1
_cell_length_a 7.015
_cell_length_b 7.015
_cell_length_c 5.053
_cell_angle_alpha 90.00
_cell_angle_beta 90.00
_cell_angle_gamma 120.00
loop_
_space_group_symop_operation_xyz
'x,y,z'
loop_
_atom_site_label
_atom_site_type_symbol
_atom_site_fract_x
_atom_site_fract_y
_atom_site_fract_z
K1 K 0.000 0.707 0.500
O1 O 0.667 0.333 0.652
O2 O 0.000 0.000 0.150
O3 O 0.000 0.000 0.850
O4 O 0.333 0.667 0.348
O5 O 0.333 0.667 0.652
K2 K 0.632 0.632 0.000
K3 K 0.293 0.293 0.500
O6 O 0.667 0.333 0.348
K4 K 0.707 0.000 0.500
K5 K 0.000 0.368 0.000
K6 K 0.368 0.000 0.000
# Formation energy from the elements: -1171 meV per atom
# SG: P-62m

# meta-GGA r2SCAN K2O, optimized geometry
data_K2O
_chemical_formula_sum 'K4 O2'
_space_group_name_H-M_alt 'P 1'
_space_group_IT_number 1
_cell_length_a 8.322
_cell_length_b 4.270
_cell_length_c 4.263
_cell_angle_alpha 59.96
_cell_angle_beta 90.00
_cell_angle_gamma 90.00
loop_
_space_group_symop_operation_xyz
'x,y,z'
loop_
_atom_site_label
_atom_site_type_symbol
_atom_site_fract_x
_atom_site_fract_y
_atom_site_fract_z
K1 K 0.373 0.998 0.003
K2 K 0.873 0.002 0.997
O1 O 0.253 0.332 0.336
K3 K 0.624 0.335 0.332
O2 O 0.753 0.668 0.664
K4 K 0.124 0.665 0.668
# Formation energy from the elements: -1113 meV per atom
# SG: P2_1

# meta-GGA r2SCAN KO, optimized geometry
data_KO
_chemical_formula_sum 'K4 O4'
_space_group_name_H-M_alt 'P 1'
_space_group_IT_number 1
_cell_length_a 4.829
_cell_length_b 4.829
_cell_length_c 6.450
_cell_angle_alpha 90.00
_cell_angle_beta 90.00
_cell_angle_gamma 92.31
loop_
_space_group_symop_operation_xyz
'x,y,z'
loop_
_atom_site_label
_atom_site_type_symbol
_atom_site_fract_x
_atom_site_fract_y
_atom_site_fract_z
O1 O 0.588 0.412 0.431
K1 K 0.909 0.591 0.750
O2 O 0.412 0.588 0.569
K2 K 0.409 0.091 0.750
O3 O 0.088 0.912 0.069
O4 O 0.912 0.088 0.931
K3 K 0.591 0.909 0.250
K4 K 0.091 0.409 0.250
# Formation energy from the elements: -1196 meV per atom
# SG: Cmce